Density functional theory data (PBE+U) for a geometry-optimized Li7Mn4P8O28 structure.

Geometry as extended XYZ:
```
94
Lattice="9.883 0.000 0.000 0.000 9.906 0.000 -2.561 0.000 11.093" Properties=species:S:1:pos:R:3 pbc="T T T"
Li -0.424 0.000 4.979
Li -1.531 0.136 10.632
Li -0.869 3.104 10.764
Li 3.246 5.224 0.323
Li 2.428 1.388 4.985
Li 3.866 8.244 0.472
Li 2.690 8.343 5.988
Li 4.633 3.389 5.105
Li 3.457 3.290 10.621
Li 4.894 6.341 6.109
Li 4.077 0.271 10.770
Li 8.192 8.057 0.329
Li 8.853 5.089 0.461
Li 7.746 4.953 6.114
Mn -2.037 7.000 9.107
Mn -0.367 4.926 3.696
Mn 2.719 3.376 7.503
Mn 2.822 6.308 9.100
Mn 4.501 1.355 1.993
Mn 4.603 8.329 3.590
Mn 7.689 9.879 7.397
Mn 9.359 2.047 1.986
P -0.231 2.648 6.387
P 1.018 7.103 1.218
P -0.085 4.826 8.387
P 1.611 9.598 2.642
P 0.746 8.719 8.360
P 2.447 3.509 2.702
P 1.355 1.245 9.917
P 2.592 5.628 4.672
P 4.730 0.675 6.421
P 5.968 6.199 1.176
P 4.875 8.462 8.391
P 6.577 3.766 2.733
P 5.712 4.645 8.452
P 7.407 9.779 2.706
P 6.305 2.150 9.875
P 7.554 7.601 4.706
O 0.272 7.785 0.024
O -0.912 3.559 5.375
O -0.850 1.236 6.531
O 0.263 5.871 1.732
O -1.012 5.813 7.669
O -0.829 8.888 8.583
O 0.971 0.594 1.575
O -0.452 3.334 7.841
O 0.944 8.135 2.470
O 0.918 3.401 3.003
O -0.395 4.778 9.872
O 1.062 5.672 4.782
O 1.310 0.076 4.078
O -0.099 1.425 10.277
O 2.478 6.897 0.876
O 1.286 2.505 6.173
O 1.116 8.365 6.959
O 2.803 3.494 1.237
O 1.421 5.040 8.071
O 1.415 0.257 8.631
O 1.260 7.788 9.476
O 2.928 4.957 3.233
O 3.144 9.460 2.361
O 3.261 2.446 3.479
O 3.198 7.031 4.626
O 2.097 2.493 9.438
O 3.327 4.789 5.724
O 2.130 0.541 11.079
O 5.193 5.494 0.014
O 3.996 9.742 5.369
O 5.226 7.446 1.655
O 4.125 2.078 6.467
O 4.062 7.399 7.614
O 4.179 4.507 8.733
O 4.395 0.004 7.860
O 6.063 2.835 1.617
O 5.908 5.211 2.462
O 5.902 0.087 3.022
O 4.520 8.448 9.856
O 6.207 3.412 4.134
O 6.037 7.459 4.920
O 4.845 1.944 10.217
O 7.422 6.378 0.816
O 6.013 5.029 7.016
O 6.261 0.719 6.311
O 7.718 9.731 1.221
O 6.405 8.354 8.090
O 6.378 3.182 8.623
O 7.774 8.287 3.253
O 6.352 5.547 9.518
O 8.152 3.935 2.510
O 8.335 0.860 3.424
O 7.060 0.918 9.361
O 8.173 6.190 4.562
O 8.235 8.512 5.718
O 7.051 2.832 11.069
```

The formation enthalpy at 0 K comes out at -2.632 eV per atom. As for the polymorph energy (0 for the lowest one): 0.002 eV per atom. As for the energy with MP2020 corrections: -7.565 eV/atom. As for the magnetic moment: 1.00 μB/f.u. Its space-group type is P2_1, No. 4.